Run A
LiCr2S4: relaxed, GGA-PBE.

Cell lengths 6.309, 7.456, 12.125 Å; angles 81.62, 85.86, 90.12 degrees
Atoms (fractional coordinates):
S  0.118  0.671  0.885
S  0.682  0.047  0.368
S  0.821  0.716  0.638
S  0.586  0.920  0.891
S  0.882  0.329  0.115
S  0.622  0.382  0.886
S  0.909  0.863  0.100
S  0.179  0.284  0.362
S  0.378  0.618  0.114
S  0.318  0.953  0.632
S  0.774  0.216  0.636
S  0.226  0.784  0.364
S  0.681  0.520  0.364
S  0.414  0.080  0.109
S  0.091  0.137  0.900
S  0.319  0.480  0.636
Cr  0.636  0.452  0.707
Cr  0.152  0.702  0.706
Cr  0.848  0.298  0.294
Cr  0.237  0.885  0.999
Cr  0.763  0.115  0.001
Cr  0.630  0.947  0.706
Cr  0.364  0.548  0.293
Cr  0.370  0.053  0.294
Li  0.127  0.200  0.705
Li  0.249  0.372  0.000
Li  0.751  0.628  0.000
Li  0.873  0.800  0.295

Computed properties:
The crystal system is triclinic. The calculation puts the magnetization at 0.71 μB/atom. As for the space-group type: No. 2.

Run B
LiCr2S4: relaxed, GGA-PBE.

Cell lengths 7.017, 7.017, 7.017 Å; angles 118.59, 118.59, 92.46 degrees
Atoms (fractional coordinates):
Cr  0.375  0.625  0.750
Cr  0.375  0.125  0.750
Cr  0.875  0.625  0.250
Cr  0.375  0.625  0.250
S  0.151  0.872  0.279
S  0.157  0.378  0.779
S  0.128  0.407  0.279
S  0.622  0.401  0.779
S  0.128  0.849  0.721
S  0.593  0.872  0.721
S  0.622  0.843  0.221
S  0.599  0.378  0.221
Li  0.750  0.250  0.500
Li  0.000  0.000  0.000

Computed properties:
The crystal system is tetragonal. The calculation puts the magnetization at 0.71 μB/atom. As for the space-group type: No. 141.

Least stable: run A

Run A
BaReH9: relaxed, GGA-PBE.

Cell lengths 7.170, 7.170, 7.483 Å; angles 90.00, 90.00, 120.00 degrees
Atoms (fractional coordinates):
H  0.825  0.516  0.855
H  0.982  0.225  0.292
H  0.903  0.340  0.012
H  0.181  0.699  0.849
H  0.084  0.449  0.689
H  0.151  0.182  0.131
H  0.170  0.681  0.528
H  0.660  0.563  0.012
H  0.437  0.097  0.012
H  0.319  0.490  0.528
H  0.511  0.358  0.180
H  0.242  0.018  0.292
H  0.173  0.172  0.453
H  0.818  0.969  0.131
H  0.365  0.916  0.689
H  0.484  0.309  0.855
H  0.999  0.827  0.453
H  0.551  0.635  0.689
H  0.517  0.819  0.849
H  0.847  0.489  0.180
H  0.642  0.153  0.180
H  0.691  0.175  0.855
H  0.031  0.849  0.131
H  0.828  0.001  0.453
H  0.301  0.483  0.849
H  0.510  0.830  0.528
H  0.775  0.758  0.292
Ba  0.667  0.333  0.507
Ba  0.000  0.000  0.808
Ba  0.333  0.667  0.179
Re  0.667  0.333  0.016
Re  0.333  0.667  0.688
Re  0.000  0.000  0.293

Computed properties:
The crystal system is trigonal. The calculation puts the magnetization at 0.00 μB/atom. As for the space-group type: No. 143.

Run B
BaReH9: relaxed, GGA-PBE.

Cell lengths 9.516, 5.197, 5.230 Å; angles 64.15, 90.00, 90.00 degrees
Atoms (fractional coordinates):
H  0.593  0.439  0.230
H  0.855  0.499  0.556
H  0.250  0.715  0.899
H  0.907  0.439  0.230
H  0.750  0.707  0.175
H  0.750  0.158  0.748
H  0.750  0.285  0.101
H  0.250  0.293  0.825
H  0.093  0.561  0.770
H  0.356  0.944  0.509
H  0.644  0.056  0.491
H  0.407  0.561  0.770
H  0.355  0.501  0.444
H  0.856  0.056  0.491
H  0.144  0.944  0.509
H  0.645  0.499  0.556
H  0.250  0.842  0.252
H  0.145  0.501  0.444
Ba  0.000  0.000  0.000
Ba  0.500  0.000  0.000
Re  0.250  0.652  0.606
Re  0.750  0.348  0.394

Computed properties:
The crystal system is monoclinic. The calculation puts the magnetization at 0.00 μB/atom. As for the space-group type: No. 11.

Least stable: run A

Run A
FeSiW: relaxed, GGA-PBE.

Cell lengths 3.922, 3.922, 3.922 Å; angles 60.00, 60.00, 60.00 degrees
Atoms (fractional coordinates):
Si  0.000  0.000  0.000
Fe  0.750  0.750  0.750
W  0.500  0.500  0.500

Computed properties:
The crystal system is cubic. The calculation puts the magnetization at 0.00 μB/atom. As for the space-group type: No. 216.

Run B
FeSiW: relaxed, GGA-PBE.

Cell lengths 4.729, 4.729, 7.648 Å; angles 90.00, 90.00, 117.27 degrees
Atoms (fractional coordinates):
Fe  0.171  0.829  0.000
Fe  0.852  0.148  0.500
Fe  0.172  0.348  0.000
Fe  0.652  0.828  0.000
Si  0.989  0.011  0.237
Si  0.989  0.011  0.763
Si  0.836  0.645  0.500
Si  0.355  0.164  0.500
W  0.662  0.338  0.182
W  0.331  0.669  0.690
W  0.662  0.338  0.818
W  0.331  0.669  0.310

Computed properties:
The crystal system is orthorhombic. The calculation puts the magnetization at 0.25 μB/atom. As for the space-group type: No. 38.

Least stable: run B

Run A
U3O10: relaxed, GGA-PBE.

Cell lengths 5.857, 19.859, 8.235 Å; angles 90.00, 110.56, 90.00 degrees
Atoms (fractional coordinates):
U  0.762  0.767  0.729
U  0.809  0.938  0.243
U  0.191  0.438  0.257
U  0.238  0.267  0.771
U  0.308  0.646  0.347
U  0.762  0.733  0.229
U  0.238  0.233  0.271
U  0.692  0.354  0.653
U  0.809  0.562  0.743
U  0.191  0.062  0.757
U  0.308  0.854  0.847
U  0.692  0.146  0.153
O  0.471  0.893  0.094
O  0.908  0.819  0.272
O  0.951  0.307  0.856
O  0.227  0.946  0.760
O  0.773  0.446  0.740
O  0.963  0.185  0.066
O  0.435  0.154  0.314
O  0.845  0.553  0.530
O  0.861  0.049  0.622
O  0.290  0.428  0.070
O  0.963  0.315  0.566
O  0.049  0.807  0.644
O  0.139  0.951  0.378
O  0.290  0.072  0.570
O  0.951  0.193  0.356
O  0.710  0.572  0.930
O  0.037  0.815  0.934
O  0.471  0.607  0.594
O  0.908  0.681  0.772
O  0.092  0.181  0.728
O  0.845  0.947  0.030
O  0.773  0.054  0.240
O  0.435  0.346  0.814
O  0.861  0.451  0.122
O  0.710  0.928  0.430
O  0.529  0.393  0.406
O  0.155  0.447  0.470
O  0.565  0.846  0.686
O  0.546  0.731  0.435
O  0.092  0.319  0.228
O  0.546  0.769  0.935
O  0.454  0.269  0.565
O  0.529  0.107  0.906
O  0.565  0.654  0.186
O  0.227  0.554  0.260
O  0.139  0.549  0.878
O  0.454  0.231  0.065
O  0.049  0.693  0.144
O  0.037  0.685  0.434
O  0.155  0.053  0.970

Computed properties:
The crystal system is monoclinic. The calculation puts the magnetization at 0.15 μB/atom. As for the space-group type: No. 14.

Run B
U3O10: relaxed, GGA-PBE.

Cell lengths 20.445, 5.881, 7.999 Å; angles 62.65, 90.00, 90.00 degrees
Atoms (fractional coordinates):
O  0.562  0.353  0.683
O  0.423  0.528  0.718
O  0.280  0.485  0.427
O  0.720  0.515  0.573
O  0.577  0.472  0.282
O  0.328  0.130  0.782
O  0.172  0.130  0.282
O  0.475  0.846  0.930
O  0.330  0.988  0.397
O  0.923  0.472  0.782
O  0.938  0.353  0.183
O  0.773  0.993  0.383
O  0.062  0.647  0.817
O  0.170  0.988  0.897
O  0.446  0.151  0.580
O  0.554  0.849  0.420
O  0.829  0.494  0.368
O  0.220  0.485  0.927
O  0.077  0.528  0.218
O  0.227  0.007  0.617
O  0.975  0.154  0.570
O  0.329  0.506  0.132
O  0.828  0.870  0.718
O  0.780  0.515  0.073
O  0.899  0.889  0.447
O  0.670  0.012  0.603
O  0.727  0.993  0.883
O  0.399  0.111  0.053
O  0.438  0.647  0.317
O  0.525  0.154  0.070
O  0.672  0.870  0.218
O  0.601  0.889  0.947
O  0.671  0.494  0.868
O  0.273  0.007  0.117
O  0.830  0.012  0.103
O  0.025  0.846  0.430
O  0.171  0.506  0.632
O  0.101  0.111  0.553
O  0.946  0.849  0.920
O  0.054  0.151  0.080
U  0.851  0.223  0.249
U  0.351  0.777  0.251
U  0.447  0.191  0.803
U  0.242  0.264  0.754
U  0.649  0.223  0.749
U  0.258  0.264  0.254
U  0.947  0.809  0.697
U  0.742  0.736  0.746
U  0.553  0.809  0.197
U  0.053  0.191  0.303
U  0.149  0.777  0.751
U  0.758  0.736  0.246

Computed properties:
The crystal system is monoclinic. The calculation puts the magnetization at 0.15 μB/atom. As for the space-group type: No. 14.

Least stable: run B

Run A
MgAl4H12O12: relaxed, GGA-PBE.

Cell lengths 7.427, 8.697, 7.253 Å; angles 107.53, 138.55, 90.29 degrees
Atoms (fractional coordinates):
H  0.512  0.176  0.032
H  0.439  0.526  0.115
H  0.572  0.447  0.813
H  0.509  0.933  0.038
H  0.931  0.713  0.247
H  0.311  0.065  0.212
H  0.994  0.978  0.599
H  0.891  0.404  0.591
H  0.841  0.781  0.036
H  0.991  0.309  0.022
H  0.980  0.733  0.987
H  0.739  0.880  0.836
O  0.480  0.058  0.403
O  0.430  0.815  0.992
O  0.881  0.258  0.028
O  0.005  0.652  0.376
O  0.547  0.874  0.634
O  0.392  0.448  0.621
O  0.209  0.140  0.551
O  0.101  0.717  0.968
O  0.926  0.915  0.640
O  0.644  0.119  0.073
O  0.997  0.448  0.575
O  0.577  0.620  0.326
Al  0.052  0.285  0.402
Al  0.511  0.093  0.698
Al  0.508  0.832  0.318
Al  0.985  0.693  0.623
Mg  0.430  0.689  0.696

Computed properties:
The crystal system is triclinic. The calculation puts the magnetization at 0.00 μB/atom. As for the space-group type: No. 1.

Run B
MgAl4H12O12: relaxed, GGA-PBE.

Cell lengths 7.130, 8.213, 7.558 Å; angles 104.20, 137.88, 98.47 degrees
Atoms (fractional coordinates):
Al  0.499  0.150  0.666
Al  0.996  0.599  0.621
Al  0.423  0.905  0.262
Al  0.050  0.311  0.364
H  0.178  0.671  0.458
H  0.900  0.951  0.165
H  0.446  0.516  0.127
H  0.451  0.208  0.966
H  0.709  0.784  0.914
H  0.881  0.289  0.568
H  0.922  0.938  0.512
H  0.338  0.192  0.248
H  0.640  0.505  0.920
H  0.448  0.945  0.950
H  0.137  0.364  0.106
H  0.886  0.581  0.882
O  0.488  0.151  0.386
O  0.024  0.666  0.904
O  0.572  0.539  0.330
O  0.045  0.387  0.628
O  0.034  0.558  0.401
O  0.577  0.164  0.976
O  0.342  0.848  0.947
O  0.826  0.939  0.559
O  0.063  0.085  0.370
O  0.517  0.407  0.717
O  0.416  0.900  0.497
O  0.978  0.271  0.054
Mg  0.699  0.785  0.669

Computed properties:
The crystal system is triclinic. The calculation puts the magnetization at 0.00 μB/atom. As for the space-group type: No. 1.

Least stable: run B

Run A
SrCaPrSbO6: relaxed, GGA-PBE.

Cell lengths 8.456, 8.470, 8.468 Å; angles 90.00, 90.00, 90.00 degrees
Atoms (fractional coordinates):
O  0.979  0.200  0.716
O  0.707  0.978  0.193
O  0.293  0.978  0.807
O  0.520  0.296  0.787
O  0.480  0.704  0.787
O  0.706  0.214  0.521
O  0.784  0.481  0.703
O  0.784  0.519  0.297
O  0.805  0.295  0.980
O  0.021  0.800  0.716
O  0.805  0.705  0.020
O  0.195  0.295  0.020
O  0.706  0.786  0.479
O  0.216  0.481  0.297
O  0.707  0.022  0.807
O  0.216  0.519  0.703
O  0.195  0.705  0.980
O  0.520  0.704  0.213
O  0.294  0.786  0.521
O  0.021  0.200  0.284
O  0.294  0.214  0.479
O  0.979  0.800  0.284
O  0.293  0.022  0.193
O  0.480  0.296  0.213
Sr  0.500  0.500  0.000
Sr  0.000  0.500  0.500
Sr  0.500  0.000  0.500
Sr  0.000  0.000  0.500
Ca  0.000  0.000  0.000
Ca  0.500  0.500  0.500
Ca  0.500  0.000  0.000
Ca  0.000  0.500  0.000
Pr  0.750  0.750  0.752
Pr  0.250  0.750  0.248
Pr  0.250  0.250  0.752
Pr  0.750  0.250  0.248
Sb  0.750  0.749  0.247
Sb  0.250  0.749  0.753
Sb  0.250  0.251  0.247
Sb  0.750  0.251  0.753

Computed properties:
The crystal system is orthorhombic. The calculation puts the magnetization at 0.00 μB/atom. As for the space-group type: No. 16.

Run B
SrCaPrSbO6: relaxed, GGA-PBE.

Cell lengths 5.865, 6.017, 8.415 Å; angles 90.20, 90.56, 90.02 degrees
Atoms (fractional coordinates):
O  0.721  0.316  0.453
O  0.675  0.279  0.056
O  0.618  0.031  0.773
O  0.279  0.684  0.547
O  0.778  0.820  0.063
O  0.172  0.218  0.562
O  0.325  0.721  0.944
O  0.222  0.180  0.937
O  0.382  0.969  0.227
O  0.096  0.444  0.272
O  0.828  0.782  0.438
O  0.904  0.556  0.728
Sb  0.000  0.500  0.500
Sb  0.500  0.000  0.000
Ca  0.014  0.953  0.746
Ca  0.986  0.047  0.254
Sr  0.489  0.453  0.750
Sr  0.511  0.547  0.250
Pr  0.500  0.000  0.500
Pr  0.000  0.500  0.000

Computed properties:
The crystal system is triclinic. The calculation puts the magnetization at 0.00 μB/atom. As for the space-group type: No. 2.

Least stable: run A